DFT (meta-GGA r2SCAN) results for Al4W after structural relaxation.

abc: 5.199 5.238 9.222
angles: 73.49 87.26 80.30
Fractional coordinates of all 15 atoms:
Al (0.514, 0.853, 0.000)
Al (0.152, 0.496, 0.000)
Al (0.689, 0.421, 0.846)
Al (0.689, 0.267, 0.154)
Al (0.216, 0.303, 0.764)
Al (0.216, 0.067, 0.236)
Al (0.806, 0.949, 0.751)
Al (0.806, 0.700, 0.249)
Al (0.580, 0.542, 0.532)
Al (0.580, 0.074, 0.468)
Al (0.072, 0.227, 0.500)
Al (0.072, 0.727, 0.500)
W (0.993, 0.010, 0.000)
W (0.330, 0.807, 0.727)
W (0.330, 0.534, 0.273)

* formation energy from the elements: -78 kJ/mol of formula units
* total magnetization: 0.000 μB per formula unit
* SG: Cm, No. 8
* total energy: -1.163 Ry/atom


DFT (meta-GGA r2SCAN) results for RbLuO2 after structural relaxation.

abc: 6.762 6.762 6.762
angles: 28.92 28.92 28.92
Fractional coordinates of all 4 atoms:
Rb (0.000, 0.000, 0.000)
Lu (0.500, 0.500, 0.500)
O (0.776, 0.776, 0.776)
O (0.224, 0.224, 0.224)

* formation energy from the elements: -1183 kJ/mol of formula units
* total magnetization: 0.000 μB per formula unit
* SG: R-3m, No. 166
* total energy: -1.401 Ry/atom


DFT (meta-GGA r2SCAN) results for Er2InAu2 after structural relaxation.

abc: 7.836 7.836 3.691
angles: 90.00 90.00 90.00
Fractional coordinates of all 10 atoms:
Er (0.670, 0.170, 0.500)
Er (0.330, 0.830, 0.500)
Er (0.170, 0.330, 0.500)
Er (0.830, 0.670, 0.500)
In (0.500, 0.500, 0.000)
In (0.000, 0.000, 0.000)
Au (0.129, 0.629, 0.000)
Au (0.871, 0.371, 0.000)
Au (0.629, 0.871, 0.000)
Au (0.371, 0.129, 0.000)

* formation energy from the elements: -445 kJ/mol of formula units
* total magnetization: 0.000 μB per formula unit
* SG: P4/mbm, No. 127
* total energy: -2.884 Ry/atom


DFT (meta-GGA r2SCAN) results for DyThFe6 after structural relaxation.

abc: 5.146 5.146 16.864
angles: 98.71 98.71 60.03
Fractional coordinates of all 24 atoms:
Dy (0.428, 0.428, 0.285)
Dy (0.930, 0.930, 0.789)
Dy (0.071, 0.071, 0.214)
Th (0.571, 0.571, 0.712)
Th (0.001, 0.001, 0.002)
Th (0.498, 0.498, 0.494)
Fe (0.461, 0.958, 0.376)
Fe (0.962, 0.458, 0.878)
Fe (0.958, 0.958, 0.376)
Fe (0.458, 0.458, 0.878)
Fe (0.958, 0.461, 0.376)
Fe (0.458, 0.962, 0.878)
Fe (0.038, 0.542, 0.123)
Fe (0.538, 0.043, 0.623)
Fe (0.542, 0.542, 0.123)
Fe (0.042, 0.042, 0.623)
Fe (0.542, 0.038, 0.123)
Fe (0.043, 0.538, 0.623)
Fe (0.334, 0.334, 0.001)
Fe (0.834, 0.834, 0.501)
Fe (0.166, 0.166, 0.499)
Fe (0.666, 0.666, 0.999)
Fe (0.750, 0.750, 0.250)
Fe (0.251, 0.251, 0.752)

* formation energy from the elements: 12 kJ/mol of formula units
* total magnetization: 12.736 μB per formula unit
* SG: Cm, No. 8
* total energy: -1.762 Ry/atom


DFT (meta-GGA r2SCAN) results for Ac2GaCu after structural relaxation.

abc: 5.473 5.473 5.473
angles: 60.00 60.00 60.00
Fractional coordinates of all 4 atoms:
Ac (0.500, 0.500, 0.500)
Ac (0.000, 0.000, 0.000)
Ga (0.750, 0.750, 0.750)
Cu (0.250, 0.250, 0.250)

* formation energy from the elements: -111 kJ/mol of formula units
* total magnetization: 0.000 μB per formula unit
* SG: Fm-3m, No. 225
* total energy: -2.953 Ry/atom


DFT (meta-GGA r2SCAN) results for Be2GeO4 after structural relaxation.

abc: 7.887 7.887 7.887
angles: 108.00 108.00 108.00
Fractional coordinates of all 42 atoms:
Be (0.293, 0.890, 0.069)
Be (0.931, 0.707, 0.110)
Be (0.395, 0.629, 0.220)
Be (0.110, 0.931, 0.707)
Be (0.780, 0.605, 0.371)
Be (0.371, 0.780, 0.605)
Be (0.629, 0.220, 0.395)
Be (0.220, 0.395, 0.629)
Be (0.890, 0.069, 0.293)
Be (0.605, 0.371, 0.780)
Be (0.069, 0.293, 0.890)
Be (0.707, 0.110, 0.931)
Ge (0.731, 0.962, 0.555)
Ge (0.445, 0.269, 0.038)
Ge (0.038, 0.445, 0.269)
Ge (0.962, 0.555, 0.731)
Ge (0.555, 0.731, 0.962)
Ge (0.269, 0.038, 0.445)
O (0.805, 0.835, 0.135)
O (0.409, 0.752, 0.088)
O (0.165, 0.865, 0.195)
O (0.248, 0.912, 0.591)
O (0.480, 0.789, 0.456)
O (0.169, 0.456, 0.125)
O (0.875, 0.831, 0.544)
O (0.912, 0.591, 0.248)
O (0.544, 0.520, 0.211)
O (0.211, 0.544, 0.520)
O (0.865, 0.195, 0.165)
O (0.544, 0.875, 0.831)
O (0.456, 0.125, 0.169)
O (0.135, 0.805, 0.835)
O (0.789, 0.456, 0.480)
O (0.456, 0.480, 0.789)
O (0.088, 0.409, 0.752)
O (0.125, 0.169, 0.456)
O (0.831, 0.544, 0.875)
O (0.520, 0.211, 0.544)
O (0.752, 0.088, 0.409)
O (0.835, 0.135, 0.805)
O (0.591, 0.248, 0.912)
O (0.195, 0.165, 0.865)

* formation energy from the elements: -1697 kJ/mol of formula units
* total magnetization: 0.000 μB per formula unit
* SG: R-3, No. 148
* total energy: -0.672 Ry/atom


DFT (meta-GGA r2SCAN) results for DySi2Ni2 after structural relaxation.

abc: 3.940 3.940 5.497
angles: 111.00 111.00 90.00
Fractional coordinates of all 5 atoms:
Dy (0.000, 0.000, 0.000)
Si (0.627, 0.627, 0.255)
Si (0.373, 0.373, 0.745)
Ni (0.750, 0.250, 0.500)
Ni (0.250, 0.750, 0.500)

* formation energy from the elements: -422 kJ/mol of formula units
* total magnetization: 0.000 μB per formula unit
* SG: I4/mmm, No. 139
* total energy: -1.145 Ry/atom


DFT (meta-GGA r2SCAN) results for TmLuZn2 after structural relaxation.

abc: 4.920 4.924 4.916
angles: 59.98 60.08 59.86
Fractional coordinates of all 4 atoms:
Tm (0.750, 0.750, 0.750)
Lu (0.250, 0.250, 0.250)
Zn (0.501, 0.501, 0.499)
Zn (0.999, 0.999, 0.001)

* formation energy from the elements: -155 kJ/mol of formula units
* total magnetization: 0.000 μB per formula unit
* SG: C2/m, No. 12
* total energy: -1.702 Ry/atom


DFT (meta-GGA r2SCAN) results for CaMg5C6O18 after structural relaxation.

abc: 5.774 7.438 8.130
angles: 111.31 103.47 105.26
Fractional coordinates of all 30 atoms:
Ca (0.667, 0.667, 0.333)
Mg (0.002, 0.501, 0.999)
Mg (0.331, 0.832, 0.667)
Mg (0.667, 0.167, 0.333)
Mg (0.999, 0.002, 0.001)
Mg (0.335, 0.331, 0.666)
C (0.498, 0.242, 0.992)
C (0.840, 0.578, 0.673)
C (0.178, 0.923, 0.335)
C (0.494, 0.755, 0.993)
C (0.835, 0.092, 0.675)
C (0.155, 0.410, 0.331)
O (0.692, 0.417, 0.077)
O (0.015, 0.766, 0.759)
O (0.355, 0.108, 0.421)
O (0.744, 0.493, 0.768)
O (0.106, 0.832, 0.432)
O (0.405, 0.160, 0.090)
O (0.938, 0.184, 0.858)
O (0.265, 0.506, 0.515)
O (0.573, 0.856, 0.175)
O (0.318, 0.568, 0.907)
O (0.641, 0.917, 0.589)
O (0.978, 0.225, 0.246)
O (0.227, 0.502, 0.234)
O (0.589, 0.840, 0.899)
O (0.928, 0.173, 0.577)
O (0.068, 0.828, 0.152)
O (0.396, 0.149, 0.809)
O (0.760, 0.477, 0.492)

* formation energy from the elements: -6443 kJ/mol of formula units
* excess energy over the best structure of this formula in the dataset: 9 meV/atom
* total magnetization: 0.000 μB per formula unit
* SG: P-1, No. 2
* total energy: -0.642 Ry/atom


DFT (meta-GGA r2SCAN) results for Pm2MgRu after structural relaxation.

abc: 5.127 5.127 5.127
angles: 60.00 60.00 60.00
Fractional coordinates of all 4 atoms:
Pm (0.250, 0.250, 0.250)
Pm (0.750, 0.750, 0.750)
Mg (0.500, 0.500, 0.500)
Ru (0.000, 0.000, 0.000)

* formation energy from the elements: -43 kJ/mol of formula units
* total magnetization: 0.000 μB per formula unit
* SG: Fm-3m, No. 225
* total energy: -1.638 Ry/atom


DFT (meta-GGA r2SCAN) results for PmLu3 after structural relaxation.

abc: 7.119 7.119 5.670
angles: 90.00 90.00 120.00
Fractional coordinates of all 8 atoms:
Pm (0.667, 0.333, 0.250)
Pm (0.333, 0.667, 0.750)
Lu (0.835, 0.165, 0.750)
Lu (0.329, 0.165, 0.750)
Lu (0.835, 0.671, 0.750)
Lu (0.165, 0.835, 0.250)
Lu (0.671, 0.835, 0.250)
Lu (0.165, 0.329, 0.250)

* formation energy from the elements: -3 kJ/mol of formula units
* total magnetization: 2.158 μB per formula unit
* SG: P6_3/mmc, No. 194
* total energy: -2.643 Ry/atom


DFT (meta-GGA r2SCAN) results for Lu2CdHg after structural relaxation.

abc: 5.123 5.123 5.123
angles: 60.00 60.00 60.00
Fractional coordinates of all 4 atoms:
Lu (0.250, 0.250, 0.250)
Lu (0.750, 0.750, 0.750)
Cd (0.500, 0.500, 0.500)
Hg (0.000, 0.000, 0.000)

* formation energy from the elements: -173 kJ/mol of formula units
* total magnetization: 0.000 μB per formula unit
* SG: Fm-3m, No. 225
* total energy: -2.709 Ry/atom